DFT (PBE) results for an optimized crystal structure of ErMn6Sn6.

Structure (CIF):
```
data_ErMn6Sn6
_chemical_formula_sum 'Er1 Mn6 Sn6'
_cell_length_a 5.4539
_cell_length_b 5.4539
_cell_length_c 9.0028
_cell_angle_alpha 90.00
_cell_angle_beta 90.00
_cell_angle_gamma 120.00
_symmetry_space_group_name_H-M 'P 6/m m m'
_symmetry_Int_Tables_number 191
_symmetry_space_group_name_Hall '-P 6 2'
loop_
_atom_site_label
_atom_site_type_symbol
_atom_site_fract_x
_atom_site_fract_y
_atom_site_fract_z
Er1 Er 0.0000 0.0000 0.0000
Mn1 Mn 0.0000 0.5000 0.2486
Sn1 Sn 0.0000 0.0000 0.3333
Sn2 Sn 0.3333 0.6667 0.0000
Sn3 Sn 0.3333 0.6667 0.5000
```

ΔH_f (0 K) in eV/f.u.: -1.8
Total energy in eV per atom: -6.567

---

DFT (PBE) results for an optimized crystal structure of ErMnSn2.

Structure (CIF):
```
data_ErMnSn2
_chemical_formula_sum 'Er12 Mn12 Sn24'
_cell_length_a 10.364
_cell_length_b 11.367
_cell_length_c 8.979
_cell_angle_alpha 90.00
_cell_angle_beta 90.00
_cell_angle_gamma 90.00
_symmetry_space_group_name_H-M 'P b a m'
_symmetry_Int_Tables_number 55
loop_
_symmetry_equiv_pos_as_xyz
'x,y,z'
'-x,-y,-z'
'-x,-y,z'
'x,y,-z'
'x+1/2,-y+1/2,-z'
'-x+1/2,y+1/2,z'
'-x+1/2,y+1/2,-z'
'x+1/2,-y+1/2,z'
loop_
_atom_site_label
_atom_site_type_symbol
_atom_site_fract_x
_atom_site_fract_y
_atom_site_fract_z
Er1 Er 0.165 0.179 0.000
Er2 Er 0.172 0.452 0.241
Mn1 Mn 0.000 0.000 0.244
Mn2 Mn 0.089 0.751 0.249
Sn1 Sn 0.041 0.623 0.000
Sn2 Sn 0.042 0.623 0.500
Sn3 Sn 0.127 0.905 0.500
Sn4 Sn 0.128 0.897 0.000
Sn5 Sn 0.162 0.181 0.338
```

ΔH_f (0 K) in eV/f.u.: -1.4
Magnetization in μB per formula unit: 2.90
Total energy in eV per atom: -5.796

---

DFT (PBE) results for an optimized crystal structure of Er6MnTe2.

Structure (CIF):
```
data_Er6MnTe2
_chemical_formula_sum 'Er6 Mn1 Te2'
_cell_length_a 8.1996
_cell_length_b 8.1996
_cell_length_c 4.0623
_cell_angle_alpha 90.00
_cell_angle_beta 90.00
_cell_angle_gamma 120.00
_symmetry_space_group_name_H-M 'P -6 2 m'
_symmetry_Int_Tables_number 189
_symmetry_space_group_name_Hall 'P -6 -2'
loop_
_atom_site_label
_atom_site_type_symbol
_atom_site_fract_x
_atom_site_fract_y
_atom_site_fract_z
Er1 Er 0.0000 0.2367 0.0000
Er2 Er 0.0000 0.6076 0.5000
Mn1 Mn 0.0000 0.0000 0.5000
Te1 Te 0.3333 0.6667 0.0000
```

ΔH_f (0 K) in eV/f.u.: -6.1
Total energy in eV per atom: -5.341